[1]
Density functional theory data (PBE-GGA) for a geometry-optimized Ti5Sn3 structure.

Final energy, eV per formula unit: -54.3
Mass density, Mg/m³: 6.425
DFT formation energy, eV/atom: -0.348
SG: P6_3/mcm

Unit cell a=8.0804 b=8.0804 c=5.4431 alpha=90.00 beta=90.00 gamma=120.00
Element x y z (fractional)
Ti 0.0000 0.2428 0.2500
Ti 0.0000 0.7572 0.7500
Ti 0.3333 0.6667 0.5000
Ti 0.7572 0.7572 0.2500
Sn 0.0000 0.6087 0.2500
Sn 0.3913 0.0000 0.7500
Sn 0.3913 0.3913 0.2500
Ti 0.7572 0.0000 0.7500
Sn 0.6087 0.0000 0.2500
Ti 0.6667 0.3333 0.5000
Ti 0.2428 0.0000 0.2500
Sn 0.6087 0.6087 0.7500
Sn 0.0000 0.3913 0.7500
Ti 0.3333 0.6667 0.0000
Ti 0.2428 0.2428 0.7500
Ti 0.6667 0.3333 0.0000

[2]
Density functional theory data (PBE-GGA) for a geometry-optimized Ti3Sn structure.

Final energy, eV per formula unit: -28.9
Mass density, Mg/m³: 6.048
DFT formation energy, eV/atom: -0.300
SG: Cmcm

Unit cell a=4.7437 b=5.7634 c=6.0050 alpha=61.32 beta=90.00 gamma=90.00
Element x y z (fractional)
Ti 0.7500 0.1777 0.6446
Ti 0.2500 0.3142 0.8544
Ti 0.7500 0.1685 0.1456
Ti 0.2500 0.8223 0.3554
Ti 0.7500 0.6858 0.1456
Sn 0.2500 0.3322 0.3355
Ti 0.2500 0.8315 0.8544
Sn 0.7500 0.6678 0.6645

[3]
Density functional theory data (PBE-GGA) for a geometry-optimized Ti3Sn structure.

Final energy, eV per formula unit: -28.9
Mass density, Mg/m³: 6.051
Total magnetization, Bohr magnetons per cell: 0.00
DFT formation energy, eV/atom: -0.297
SG: P6_3/mmc

Unit cell a=4.7562 b=5.9122 c=5.9122 alpha=60.00 beta=90.00 gamma=90.00
Element x y z (fractional)
Ti 0.7500 0.6715 0.1643
Ti 0.2500 0.8357 0.3285
Ti 0.2500 0.3285 0.8357
Ti 0.7500 0.1643 0.1643
Sn 0.7500 0.6667 0.6667
Ti 0.7500 0.1643 0.6715
Ti 0.2500 0.8357 0.8357
Sn 0.2500 0.3333 0.3333

[4]
Density functional theory data (PBE-GGA) for a geometry-optimized Ti6Sn5 structure.

Final energy, eV per formula unit: -71.3
Mass density, Mg/m³: 6.730
Energy above the most stable polymorph in this dataset, meV per atom: 21
DFT formation energy, eV/atom: -0.351
SG: Immm

Unit cell a=9.8790 b=9.8790 c=9.8790 alpha=146.24 beta=124.75 gamma=66.34
Element x y z (fractional)
Sn 0.0000 0.7545 0.7545
Ti 0.3150 0.5861 0.7289
Ti 0.0000 0.5000 0.0000
Sn 0.2042 0.8958 0.3084
Sn 0.3307 0.3307 0.0000
Ti 0.1429 0.4139 0.7289
Sn 0.4126 0.1042 0.3084
Sn 0.0000 0.2455 0.2455
Ti 0.5000 0.2661 0.7661
Sn 0.5874 0.8958 0.6916
Ti 0.6850 0.4139 0.2711
Ti 0.5000 0.7339 0.2339
Ti 0.8571 0.5861 0.2711
Ti 0.0000 0.0000 0.5000
Ti 0.5000 0.5000 0.5000
Sn 0.7915 0.2915 0.5000
Ti 0.8422 0.8422 0.0000
Sn 0.7958 0.1042 0.6916
Sn 0.6693 0.6693 0.0000
Ti 0.1578 0.1578 0.0000
Sn 0.2085 0.7085 0.5000
Ti 0.5000 0.0000 0.0000

[5]
Density functional theory data (PBE-GGA) for a geometry-optimized Ti3Sn structure.

Final energy, eV per formula unit: -28.7
Mass density, Mg/m³: 6.019
DFT formation energy, eV/atom: -0.262
SG: Pm-3m

Unit cell a=4.1672 b=4.1672 c=4.1672 alpha=90.00 beta=90.00 gamma=90.00
Element x y z (fractional)
Ti 0.5000 0.5000 0.0000
Ti 0.5000 0.0000 0.5000
Sn 0.0000 0.0000 0.0000
Ti 0.0000 0.5000 0.5000

[6]
Density functional theory data (PBE-GGA) for a geometry-optimized Ti6Sn5 structure.

Final energy, eV per formula unit: -71.5
Mass density, Mg/m³: 6.813
Energy above the most stable polymorph in this dataset, meV per atom: 0
DFT formation energy, eV/atom: -0.372
SG: P6_3/mmc

Unit cell a=9.3071 b=9.3071 c=5.7228 alpha=90.00 beta=90.00 gamma=120.00
Element x y z (fractional)
Ti 0.0000 0.5000 0.5000
Sn 0.5911 0.7956 0.7500
Ti 0.5000 0.5000 0.5000
Ti 0.5000 0.0000 0.5000
Ti 0.3132 0.1566 0.7500
Ti 0.0000 0.5000 0.0000
Ti 0.8434 0.6868 0.7500
Ti 0.1566 0.8434 0.2500
Sn 0.6667 0.3333 0.7500
Ti 0.8434 0.1566 0.7500
Sn 0.0000 0.0000 0.5000
Ti 0.5000 0.5000 0.0000
Ti 0.5000 0.0000 0.0000
Sn 0.2044 0.7956 0.7500
Ti 0.1566 0.3132 0.2500
Sn 0.7956 0.5911 0.2500
Sn 0.0000 0.0000 0.0000
Sn 0.3333 0.6667 0.2500
Ti 0.6868 0.8434 0.2500
Sn 0.2044 0.4089 0.7500
Sn 0.7956 0.2044 0.2500
Sn 0.4089 0.2044 0.2500